1.
# LaRh3

LaRh3 after structural relaxation (PBE-GGA, the Materials Project database). Values from VASP.

ΔE_f   -0.53 eV/atom
Energy   -7.28 eV/atom
Space group   P6_3/mmc

Cell and atoms, written as Quantum ESPRESSO input:
```
&SYSTEM
  ibrav = 0, nat = 24, ntyp = 2
/
ATOMIC_SPECIES
La 138.91 La.upf
Rh 102.91 Rh.upf
ATOMIC_POSITIONS crystal
La 0.333 0.667 0.542
La 0.667 0.333 0.042
La 0.667 0.333 0.458
La 0.333 0.667 0.958
La 0.333 0.667 0.750
La 0.667 0.333 0.250
Rh 0.167 0.333 0.127
Rh 0.833 0.667 0.627
Rh 0.667 0.833 0.127
Rh 0.167 0.833 0.127
Rh 0.833 0.167 0.627
Rh 0.333 0.167 0.627
Rh 0.833 0.667 0.873
Rh 0.833 0.167 0.873
Rh 0.333 0.167 0.873
Rh 0.667 0.833 0.373
Rh 0.167 0.833 0.373
Rh 0.167 0.333 0.373
Rh 0.000 0.000 0.250
Rh 0.000 0.000 0.750
Rh 0.333 0.667 0.250
Rh 0.667 0.333 0.750
Rh 0.000 0.000 0.000
Rh 0.000 0.000 0.500
CELL_PARAMETERS angstrom
-0.294 2.612 4.691
0.019 -5.376 -0.087
17.813 0.046 1.091
```

2.
# CaMg6ZnO8

CaMg6ZnO8 after structural relaxation (PBE-GGA, the Materials Project database). Values from VASP.

E above lowest polymorph   0 meV per atom
Total magnetic moment   0.00 μB per formula unit
ΔE_f   -2.85 eV/atom
Energy   -5.78 eV/atom
Space group   P4/mmm

Cell and atoms, written as Quantum ESPRESSO input:
```
&SYSTEM
  ibrav = 0, nat = 16, ntyp = 4
/
ATOMIC_SPECIES
Ca 40.08 Ca.upf
Mg 24.30 Mg.upf
Zn 65.41 Zn.upf
O 16.00 O.upf
ATOMIC_POSITIONS crystal
Ca 0.000 0.000 0.000
Mg 0.500 0.000 0.000
Mg 0.500 0.500 0.500
Mg 0.256 0.000 0.500
Mg 0.744 0.000 0.500
Mg 0.256 0.500 0.000
Mg 0.744 0.500 0.000
Zn 0.000 0.500 0.500
O 0.264 0.000 0.000
O 0.736 0.000 0.000
O 0.253 0.500 0.500
O 0.747 0.500 0.500
O 0.000 0.000 0.500
O 0.500 0.000 0.500
O 0.000 0.500 0.000
O 0.500 0.500 0.000
CELL_PARAMETERS angstrom
-4.527 7.353 0.594
-3.534 -2.275 1.222
1.194 0.396 4.192
```

3.
# BeH24C8S4Cl2O4

BeH24C8S4Cl2O4 after structural relaxation (PBE-GGA, the Materials Project database). Values from VASP.

Total magnetic moment   0.00 μB per formula unit
ΔE_f   -0.46 eV/atom
Energy   -5.02 eV/atom
Space group   Pbca

Cell and atoms, written as Quantum ESPRESSO input:
```
&SYSTEM
  ibrav = 0, nat = 344, ntyp = 6
/
ATOMIC_SPECIES
Be 9.01 Be.upf
H 1.01 H.upf
C 12.01 C.upf
S 32.06 S.upf
Cl 35.45 Cl.upf
O 16.00 O.upf
ATOMIC_POSITIONS crystal
Be 0.264 0.133 0.130
Be 0.764 0.367 0.870
Be 0.736 0.633 0.370
Be 0.236 0.867 0.630
Be 0.736 0.867 0.870
Be 0.236 0.633 0.130
Be 0.264 0.367 0.630
Be 0.764 0.133 0.370
H 0.574 0.051 0.060
H 0.074 0.449 0.940
H 0.426 0.551 0.440
H 0.926 0.949 0.560
H 0.426 0.949 0.940
H 0.926 0.551 0.060
H 0.574 0.449 0.560
H 0.074 0.051 0.440
H 0.628 0.973 0.094
H 0.128 0.527 0.906
H 0.372 0.473 0.406
H 0.872 0.027 0.594
H 0.372 0.027 0.906
H 0.872 0.473 0.094
H 0.628 0.527 0.594
H 0.128 0.973 0.406
H 0.467 0.975 0.054
H 0.967 0.525 0.946
H 0.533 0.475 0.446
H 0.033 0.025 0.554
H 0.533 0.025 0.946
H 0.033 0.475 0.054
H 0.467 0.525 0.554
H 0.967 0.975 0.446
H 0.354 0.942 0.216
H 0.854 0.558 0.784
H 0.646 0.442 0.284
H 0.146 0.058 0.716
H 0.646 0.058 0.784
H 0.146 0.442 0.216
H 0.354 0.558 0.716
H 0.854 0.942 0.284
H 0.360 0.916 0.137
H 0.860 0.584 0.863
H 0.640 0.416 0.363
H 0.140 0.084 0.637
H 0.640 0.084 0.863
H 0.140 0.416 0.137
H 0.360 0.584 0.637
H 0.860 0.916 0.363
H 0.513 0.915 0.183
H 0.013 0.585 0.817
H 0.487 0.415 0.317
H 0.987 0.085 0.683
H 0.487 0.085 0.817
H 0.987 0.415 0.183
H 0.513 0.585 0.683
H 0.013 0.915 0.317
H 0.546 0.206 0.270
H 0.046 0.294 0.730
H 0.454 0.706 0.230
H 0.954 0.794 0.770
H 0.454 0.794 0.730
H 0.954 0.706 0.270
H 0.546 0.294 0.770
H 0.046 0.206 0.230
H 0.569 0.293 0.245
H 0.069 0.207 0.755
H 0.431 0.793 0.255
H 0.931 0.707 0.745
H 0.431 0.707 0.755
H 0.931 0.793 0.245
H 0.569 0.207 0.745
H 0.069 0.293 0.255
H 0.409 0.268 0.279
H 0.909 0.232 0.721
H 0.591 0.768 0.221
H 0.091 0.732 0.779
H 0.591 0.732 0.721
H 0.091 0.768 0.279
H 0.409 0.232 0.779
H 0.909 0.268 0.221
H 0.316 0.313 0.115
H 0.816 0.187 0.885
H 0.684 0.813 0.385
H 0.184 0.687 0.615
H 0.684 0.687 0.885
H 0.184 0.813 0.115
H 0.316 0.187 0.615
H 0.816 0.313 0.385
H 0.290 0.325 0.197
H 0.790 0.175 0.803
H 0.710 0.825 0.303
H 0.210 0.675 0.697
H 0.710 0.675 0.803
H 0.210 0.825 0.197
H 0.290 0.175 0.697
H 0.790 0.325 0.303
H 0.447 0.351 0.162
H 0.947 0.149 0.838
H 0.553 0.851 0.338
H 0.053 0.649 0.662
H 0.553 0.649 0.838
H 0.053 0.851 0.162
H 0.447 0.149 0.662
H 0.947 0.351 0.338
H 0.497 0.175 0.969
H 0.997 0.325 0.031
H 0.503 0.675 0.531
H 0.003 0.825 0.469
H 0.503 0.825 0.031
H 0.003 0.675 0.969
H 0.497 0.325 0.469
H 0.997 0.175 0.531
H 0.370 0.180 0.910
H 0.870 0.320 0.090
H 0.630 0.680 0.590
H 0.130 0.820 0.410
H 0.630 0.820 0.090
H 0.130 0.680 0.910
H 0.370 0.320 0.410
H 0.870 0.180 0.590
H 0.379 0.247 0.967
H 0.879 0.253 0.033
H 0.621 0.747 0.533
H 0.121 0.753 0.467
H 0.621 0.753 0.033
H 0.121 0.747 0.967
H 0.379 0.253 0.467
H 0.879 0.247 0.533
H 0.039 0.167 0.001
H 0.539 0.333 0.999
H 0.961 0.667 0.499
H 0.461 0.833 0.501
H 0.961 0.833 0.999
H 0.461 0.667 0.001
H 0.039 0.333 0.501
H 0.539 0.167 0.499
H 0.139 0.243 0.984
H 0.639 0.257 0.016
H 0.861 0.743 0.516
H 0.361 0.757 0.484
H 0.861 0.757 0.016
H 0.361 0.743 0.984
H 0.139 0.257 0.484
H 0.639 0.243 0.516
H 0.119 0.176 0.927
H 0.619 0.324 0.073
H 0.881 0.676 0.573
H 0.381 0.824 0.427
H 0.881 0.824 0.073
H 0.381 0.676 0.927
H 0.119 0.324 0.427
H 0.619 0.176 0.573
H 0.100 0.992 0.070
H 0.600 0.508 0.930
H 0.900 0.492 0.430
H 0.400 0.008 0.570
H 0.900 0.008 0.930
H 0.400 0.492 0.070
H 0.100 0.508 0.570
H 0.600 0.992 0.430
H 0.934 0.969 0.097
H 0.434 0.531 0.903
H 0.066 0.469 0.403
H 0.566 0.031 0.597
H 0.066 0.031 0.903
H 0.566 0.469 0.097
H 0.934 0.531 0.597
H 0.434 0.969 0.403
H 0.953 0.046 0.052
H 0.453 0.454 0.948
H 0.047 0.546 0.448
H 0.547 0.954 0.552
H 0.047 0.954 0.948
H 0.547 0.546 0.052
H 0.953 0.454 0.552
H 0.453 0.046 0.448
H 0.852 0.118 0.205
H 0.352 0.382 0.795
H 0.148 0.618 0.295
H 0.648 0.882 0.705
H 0.148 0.882 0.795
H 0.648 0.618 0.205
H 0.852 0.382 0.705
H 0.352 0.118 0.295
H 0.820 0.110 0.123
H 0.320 0.390 0.877
H 0.180 0.610 0.377
H 0.680 0.890 0.623
H 0.180 0.890 0.877
H 0.680 0.610 0.123
H 0.820 0.390 0.623
H 0.320 0.110 0.377
H 0.799 0.037 0.174
H 0.299 0.463 0.826
H 0.201 0.537 0.326
H 0.701 0.963 0.674
H 0.201 0.963 0.826
H 0.701 0.537 0.174
H 0.799 0.463 0.674
H 0.299 0.037 0.326
C 0.540 0.004 0.082
C 0.040 0.496 0.918
C 0.460 0.504 0.418
C 0.960 0.996 0.582
C 0.460 0.996 0.918
C 0.960 0.504 0.082
C 0.540 0.496 0.582
C 0.040 0.004 0.418
C 0.415 0.940 0.174
C 0.915 0.560 0.826
C 0.585 0.440 0.326
C 0.085 0.060 0.674
C 0.585 0.060 0.826
C 0.085 0.440 0.174
C 0.415 0.560 0.674
C 0.915 0.940 0.326
C 0.496 0.251 0.251
C 0.996 0.249 0.749
C 0.504 0.751 0.249
C 0.004 0.749 0.751
C 0.504 0.749 0.749
C 0.004 0.751 0.251
C 0.496 0.249 0.751
C 0.996 0.251 0.249
C 0.363 0.314 0.160
C 0.863 0.186 0.840
C 0.637 0.814 0.340
C 0.137 0.686 0.660
C 0.637 0.686 0.840
C 0.137 0.814 0.160
C 0.363 0.186 0.660
C 0.863 0.314 0.340
C 0.395 0.192 0.957
C 0.895 0.308 0.043
C 0.605 0.692 0.543
C 0.105 0.808 0.457
C 0.605 0.808 0.043
C 0.105 0.692 0.957
C 0.395 0.308 0.457
C 0.895 0.192 0.543
C 0.126 0.188 0.976
C 0.626 0.312 0.024
C 0.874 0.688 0.524
C 0.374 0.812 0.476
C 0.874 0.812 0.024
C 0.374 0.688 0.976
C 0.126 0.312 0.476
C 0.626 0.188 0.524
C 0.002 0.012 0.085
C 0.502 0.488 0.915
C 0.998 0.512 0.415
C 0.498 0.988 0.585
C 0.998 0.988 0.915
C 0.498 0.512 0.085
C 0.002 0.488 0.585
C 0.502 0.012 0.415
C 0.855 0.085 0.165
C 0.355 0.415 0.835
C 0.145 0.585 0.335
C 0.645 0.915 0.665
C 0.145 0.915 0.835
C 0.645 0.585 0.165
C 0.855 0.415 0.665
C 0.355 0.085 0.335
S 0.457 0.025 0.152
S 0.957 0.475 0.848
S 0.543 0.525 0.348
S 0.043 0.975 0.652
S 0.543 0.975 0.848
S 0.043 0.525 0.152
S 0.457 0.475 0.652
S 0.957 0.025 0.348
S 0.440 0.233 0.176
S 0.940 0.267 0.824
S 0.560 0.733 0.324
S 0.060 0.767 0.676
S 0.560 0.767 0.824
S 0.060 0.733 0.176
S 0.440 0.267 0.676
S 0.940 0.233 0.324
S 0.276 0.146 0.002
S 0.776 0.354 0.998
S 0.724 0.646 0.498
S 0.224 0.854 0.502
S 0.724 0.854 0.998
S 0.224 0.646 0.002
S 0.276 0.354 0.502
S 0.776 0.146 0.498
S 0.026 0.058 0.154
S 0.526 0.442 0.846
S 0.974 0.558 0.346
S 0.474 0.942 0.654
S 0.974 0.942 0.846
S 0.474 0.558 0.154
S 0.026 0.442 0.654
S 0.526 0.058 0.346
Cl 0.779 0.888 0.176
Cl 0.279 0.612 0.824
Cl 0.221 0.388 0.324
Cl 0.721 0.112 0.676
Cl 0.221 0.112 0.824
Cl 0.721 0.388 0.176
Cl 0.779 0.612 0.676
Cl 0.279 0.888 0.324
Cl 0.746 0.124 0.994
Cl 0.246 0.376 0.006
Cl 0.254 0.624 0.506
Cl 0.754 0.876 0.494
Cl 0.254 0.876 0.006
Cl 0.754 0.624 0.994
Cl 0.746 0.376 0.494
Cl 0.246 0.124 0.506
O 0.318 0.055 0.133
O 0.818 0.445 0.867
O 0.682 0.555 0.367
O 0.182 0.945 0.633
O 0.682 0.945 0.867
O 0.182 0.555 0.133
O 0.318 0.445 0.633
O 0.818 0.055 0.367
O 0.322 0.181 0.185
O 0.822 0.319 0.815
O 0.678 0.681 0.315
O 0.178 0.819 0.685
O 0.678 0.819 0.815
O 0.178 0.681 0.185
O 0.322 0.319 0.685
O 0.822 0.181 0.315
O 0.301 0.173 0.067
O 0.801 0.327 0.933
O 0.699 0.673 0.433
O 0.199 0.827 0.567
O 0.699 0.827 0.933
O 0.199 0.673 0.067
O 0.301 0.327 0.567
O 0.801 0.173 0.433
O 0.099 0.126 0.137
O 0.599 0.374 0.863
O 0.901 0.626 0.363
O 0.401 0.874 0.637
O 0.901 0.874 0.863
O 0.401 0.626 0.137
O 0.099 0.374 0.637
O 0.599 0.126 0.363
CELL_PARAMETERS angstrom
-6.392 5.277 5.383
7.112 -8.079 16.366
14.720 16.199 1.601
```

4.
# LiBH7N

LiBH7N after structural relaxation (PBE-GGA, the Materials Project database). Values from VASP.

Total magnetic moment   0.00 μB per formula unit
ΔE_f   -0.39 eV/atom
Energy   -4.43 eV/atom
Space group   Pnma

Cell and atoms, written as Quantum ESPRESSO input:
```
&SYSTEM
  ibrav = 0, nat = 40, ntyp = 4
/
ATOMIC_SPECIES
Li 6.94 Li.upf
B 10.81 B.upf
H 1.01 H.upf
N 14.01 N.upf
ATOMIC_POSITIONS crystal
Li 0.750 0.880 0.427
Li 0.750 0.380 0.073
Li 0.250 0.120 0.573
Li 0.250 0.620 0.927
B 0.750 0.919 0.597
B 0.750 0.419 0.903
B 0.250 0.081 0.403
B 0.250 0.581 0.097
H 0.750 0.606 0.288
H 0.750 0.106 0.212
H 0.250 0.394 0.712
H 0.250 0.894 0.788
H 0.571 0.480 0.370
H 0.929 0.980 0.130
H 0.071 0.520 0.630
H 0.429 0.020 0.870
H 0.429 0.520 0.630
H 0.071 0.020 0.870
H 0.929 0.480 0.370
H 0.571 0.980 0.130
H 0.750 0.743 0.554
H 0.750 0.243 0.946
H 0.250 0.257 0.446
H 0.250 0.757 0.054
H 0.750 0.080 0.545
H 0.750 0.580 0.955
H 0.250 0.920 0.455
H 0.250 0.420 0.045
H 0.531 0.927 0.646
H 0.969 0.427 0.854
H 0.031 0.073 0.354
H 0.469 0.573 0.146
H 0.469 0.073 0.354
H 0.031 0.573 0.146
H 0.969 0.927 0.646
H 0.531 0.427 0.854
N 0.750 0.580 0.357
N 0.750 0.080 0.143
N 0.250 0.420 0.643
N 0.250 0.920 0.857
CELL_PARAMETERS angstrom
4.511 0.000 0.000
0.000 5.998 0.000
0.000 0.000 14.706
```